# Cu7Hg6 | Materials Project | PBE | optimized geometry
# **VASP energy**: -2.001 eV per atom
# **Polymorph energy (0 for the lowest one)**: 0.2068 eV per atom
# **Formation energy from the elements**: 33 kJ per mole of atoms
# **Magnetic moment**: 0.000 μB/atom
data_Cu7Hg6
_symmetry_space_group_name_H-M 'R 3 m'
_symmetry_Int_Tables_number 160
_symmetry_space_group_name_Hall 'R 3 -2"'
_cell_length_a 12.6449
_cell_length_b 12.6449
_cell_length_c 15.4266
_cell_angle_alpha 90.00
_cell_angle_beta 90.00
_cell_angle_gamma 120.00
loop_
_atom_site_label
_atom_site_type_symbol
_atom_site_fract_x
_atom_site_fract_y
_atom_site_fract_z
_atom_site_occupancy
Cu1 Cu 0.0000 0.0000 0.0000 1
Cu2 Cu 0.0000 0.0000 0.2545 1
Cu3 Cu 0.0687 0.1374 0.3807 1
Cu4 Cu 0.1090 0.2181 0.2237 1
Cu5 Cu 0.1438 0.0719 0.1256 1
Cu6 Cu 0.2162 0.1081 0.2847 1
Hg1 Hg 0.0126 0.3709 0.4989 1
Hg2 Hg 0.0704 0.5352 0.7122 1
Hg3 Hg 0.2126 0.4252 0.6160 1